# 1
Material: TiPd2
Method: DFT, PBE
State: relaxed Values from VASP.

Cell and atoms, written as Quantum ESPRESSO input:
```
&SYSTEM
  ibrav = 0, nat = 3, ntyp = 2
/
ATOMIC_SPECIES
Pd 106.42 Pd.upf
Ti 47.87 Ti.upf
CELL_PARAMETERS angstrom
-1.207 -0.514 4.751
-4.286 -1.894 1.527
3.906 -0.806 -2.895
ATOMIC_POSITIONS angstrom
Pd -1.874 -0.822 2.142
Pd -3.619 -1.586 4.136
Ti 0.000 0.000 0.000
```

The space group is Immm (71). Its energy of formation from the pure elements is -0.632 eV/atom.



# 2
Material: TiZn2Pd
Method: DFT, PBE
State: relaxed Values from VASP.

Cell and atoms, written as Quantum ESPRESSO input:
```
&SYSTEM
  ibrav = 0, nat = 4, ntyp = 3
/
ATOMIC_SPECIES
Zn 65.41 Zn.upf
Ti 47.87 Ti.upf
Pd 106.42 Pd.upf
CELL_PARAMETERS angstrom
0.000 3.093 3.093
3.093 0.000 3.093
3.093 3.093 0.000
ATOMIC_POSITIONS angstrom
Zn 4.640 4.640 4.640
Zn 1.547 1.547 1.547
Ti 0.000 0.000 0.000
Pd 3.093 3.093 3.093
```

The space group is Fm-3m (225). Its energy of formation from the pure elements is -0.377 eV/atom.



# 3
Material: ZrTiPd
Method: DFT, PBE
State: relaxed Values from VASP.

Cell and atoms, written as Quantum ESPRESSO input:
```
&SYSTEM
  ibrav = 0, nat = 12, ntyp = 3
/
ATOMIC_SPECIES
Pd 106.42 Pd.upf
Zr 91.22 Zr.upf
Ti 47.87 Ti.upf
CELL_PARAMETERS angstrom
-3.011 3.410 2.852
5.470 0.210 0.262
0.102 5.633 -6.628
ATOMIC_POSITIONS angstrom
Pd 2.513 6.374 -0.205
Pd 2.463 3.605 3.054
Pd 1.426 4.978 -4.310
Pd 4.087 5.080 -4.182
Zr 2.691 3.717 -1.829
Zr 2.652 1.571 0.696
Zr -0.084 7.559 -4.269
Zr -0.122 5.458 -1.797
Ti 2.620 6.768 -2.770
Ti 1.122 4.345 0.856
Ti -0.070 2.624 -0.625
Ti -1.524 4.243 0.729
```

The space group is Amm2 (38). Its energy of formation from the pure elements is -0.425 eV/atom.



Copy entry 1 word for word.
Material: TiPd2
Method: DFT, PBE
State: relaxed Values from VASP.

Cell and atoms, written as Quantum ESPRESSO input:
```
&SYSTEM
  ibrav = 0, nat = 3, ntyp = 2
/
ATOMIC_SPECIES
Pd 106.42 Pd.upf
Ti 47.87 Ti.upf
CELL_PARAMETERS angstrom
-1.207 -0.514 4.751
-4.286 -1.894 1.527
3.906 -0.806 -2.895
ATOMIC_POSITIONS angstrom
Pd -1.874 -0.822 2.142
Pd -3.619 -1.586 4.136
Ti 0.000 0.000 0.000
```

The space group is Immm (71). Its energy of formation from the pure elements is -0.632 eV/atom.



- Among the records above, which one has the lowest energy of formation from the pure elements?
  TiPd2



Please write out number 3 again, unchanged.
Material: ZrTiPd
Method: DFT, PBE
State: relaxed Values from VASP.

Cell and atoms, written as Quantum ESPRESSO input:
```
&SYSTEM
  ibrav = 0, nat = 12, ntyp = 3
/
ATOMIC_SPECIES
Pd 106.42 Pd.upf
Zr 91.22 Zr.upf
Ti 47.87 Ti.upf
CELL_PARAMETERS angstrom
-3.011 3.410 2.852
5.470 0.210 0.262
0.102 5.633 -6.628
ATOMIC_POSITIONS angstrom
Pd 2.513 6.374 -0.205
Pd 2.463 3.605 3.054
Pd 1.426 4.978 -4.310
Pd 4.087 5.080 -4.182
Zr 2.691 3.717 -1.829
Zr 2.652 1.571 0.696
Zr -0.084 7.559 -4.269
Zr -0.122 5.458 -1.797
Ti 2.620 6.768 -2.770
Ti 1.122 4.345 0.856
Ti -0.070 2.624 -0.625
Ti -1.524 4.243 0.729
```

The space group is Amm2 (38). Its energy of formation from the pure elements is -0.425 eV/atom.